First-principles (PBE) data for Na5Ca2Y2P3S3O24 after structural relaxation, as listed in the Materials Project.

## Properties
* energy of formation from the pure elements: -267 kJ per mole of atoms
* volume: 15.21 Å³ per atom
* symmetry: No. 1
* electronic total energy: -787.01 eV/cell

POSCAR file:
```
Na5Ca2Y2P3S3O24
1.0
9.346 -0.006 -0.014
-4.679 8.090 -0.005
-0.035 -0.034 23.550
O Y Na Ca S P
72 6 15 6 9 9
Cartesian
1.941 5.208 20.301
8.398 1.510 21.487
0.761 7.026 1.832
-0.972 6.726 5.948
5.762 1.097 0.732
7.557 0.139 2.033
1.050 7.114 11.118
-0.822 7.025 13.592
4.048 1.135 21.705
6.369 2.781 21.636
0.992 6.740 17.766
0.729 1.633 9.744
-0.760 7.056 20.503
5.701 1.242 17.598
-0.856 1.671 4.742
6.555 2.484 12.519
5.417 4.273 17.551
5.515 4.384 0.842
1.044 3.801 8.678
-2.717 7.873 4.561
3.485 4.345 15.090
-0.814 3.880 5.999
1.765 5.598 5.982
-1.963 5.464 10.970
8.159 1.644 7.244
5.450 6.632 2.001
2.870 2.809 9.894
-0.877 3.846 13.647
3.812 1.146 5.783
8.360 1.320 13.791
1.752 0.177 13.824
7.399 0.071 18.998
2.679 2.797 3.174
5.445 1.228 9.848
0.878 7.138 8.559
3.521 1.120 12.531
3.542 6.624 21.488
3.863 4.349 5.751
0.825 1.808 16.295
0.878 3.585 11.091
1.078 1.394 2.007
-3.713 6.510 9.708
1.011 1.596 18.810
3.636 4.183 21.661
3.820 6.322 7.080
3.782 4.332 12.573
2.794 7.856 16.469
1.925 0.064 7.079
7.632 -0.018 9.785
1.674 5.294 13.675
1.844 5.475 22.714
5.734 4.064 9.858
3.805 0.897 14.926
6.363 2.592 5.812
-1.969 5.199 8.559
0.989 3.834 1.834
-2.909 8.019 21.581
-1.079 7.097 23.017
5.521 0.921 3.149
-3.564 6.435 16.456
0.592 3.858 17.716
5.758 4.480 3.372
2.776 2.521 0.767
-0.924 3.590 22.713
-1.171 3.662 20.299
3.531 6.537 4.684
2.874 2.766 17.582
-1.817 5.422 17.762
3.853 6.555 13.794
5.500 6.273 18.845
-1.722 5.379 1.963
6.679 2.760 15.053
4.678 2.715 11.402
4.650 2.787 23.167
0.012 5.425 7.472
-0.064 5.452 19.252
0.016 0.046 3.558
4.629 8.060 15.321
5.930 0.137 5.972
4.366 2.407 19.495
1.227 2.805 13.819
-1.694 7.731 1.836
4.547 7.796 11.653
-0.086 5.347 15.592
2.900 5.104 17.459
6.301 0.174 21.401
7.638 2.773 17.524
1.727 7.785 13.549
-0.116 5.114 3.823
-4.516 7.914 23.442
4.467 2.471 7.772
-2.939 5.100 5.657
7.627 2.317 9.672
-0.077 5.338 0.381
4.663 2.720 4.268
0.131 0.027 20.029
0.034 0.011 8.220
-0.019 5.411 12.119
4.642 2.643 16.058
-2.814 5.349 9.793
3.241 0.272 13.727
1.883 2.672 1.959
2.742 5.373 21.560
6.043 5.619 17.659
3.261 5.690 5.884
6.078 0.272 1.942
1.389 2.957 9.858
-1.475 2.907 21.551
6.083 5.187 2.049
1.413 7.876 9.837
7.910 2.434 5.949
-1.853 8.047 5.858
7.496 2.650 13.763
1.356 2.471 17.620
3.224 5.120 13.789
1.864 8.046 17.726
-1.395 7.842 21.713
```


First-principles (PBE) data for CeIn2Pd after structural relaxation, as listed in the Materials Project.

## Properties
* energy of formation from the pure elements: -54 kJ per mole of atoms
* volume: 23.42 Å³ per atom
* symmetry: No. 63
* electronic total energy: -37.74 eV/cell

POSCAR file:
```
CeIn2Pd
1.0
2.337 -5.319 0.000
2.337 5.319 0.000
0.000 0.000 7.538
Pd In Ce
2 4 2
Cartesian
2.337 3.142 5.653
2.337 -3.142 1.884
2.337 1.453 3.393
2.337 -1.453 4.145
2.337 -1.453 7.162
2.337 1.453 0.376
2.337 -4.473 5.653
2.337 4.473 1.884
```


First-principles (PBE) data for ReRu3 after structural relaxation, as listed in the Materials Project.

## Properties
* energy of formation from the pure elements: -8 kJ per mole of atoms
* volume: 14.16 Å³ per atom
* symmetry: No. 194
* electronic total energy: -81.24 eV/cell

POSCAR file:
```
ReRu3
1.0
-3.517 3.778 1.864
-0.878 -5.317 1.040
2.303 0.337 3.665
Ru Re
6 2
Cartesian
-1.784 -0.137 4.992
-1.348 2.507 4.474
-0.308 -1.064 1.577
0.402 0.628 3.547
-2.494 -1.829 3.021
-0.745 -3.708 2.095
-0.030 -2.032 4.063
-2.062 0.831 2.505
```


First-principles (PBE) data for SiC after structural relaxation, as listed in the Materials Project.

## Properties
* energy above the lowest structure with this stoichiometry: 0.00 eV/f.u.
* energy of formation from the pure elements: -20 kJ per mole of atoms
* volume: 10.49 Å³ per atom
* symmetry: No. 156
* electronic total energy: -210.85 eV/cell

POSCAR file:
```
SiC
1.0
-2.567 -0.105 1.725
-0.014 -1.164 -2.868
9.865 -31.537 12.756
C Si
14 14
Cartesian
1.632 -11.162 4.524
3.746 -17.920 7.257
6.165 -19.711 7.973
8.984 -28.722 11.617
-0.483 -4.401 1.789
5.860 -24.678 9.991
7.971 -31.429 12.722
7.414 -27.280 9.369
6.005 -22.773 7.546
1.777 -9.257 2.079
-0.335 -2.504 -0.652
4.755 -15.203 6.149
3.187 -13.764 3.902
1.938 -6.195 2.506
6.886 -25.591 8.686
1.409 -4.505 1.822
1.102 -9.468 3.839
2.658 -12.075 3.219
9.000 -32.347 11.419
4.227 -13.514 5.466
7.443 -29.740 12.038
5.476 -21.083 6.863
8.455 -27.031 10.934
3.216 -16.226 6.572
5.330 -22.984 9.305
1.248 -7.567 1.396
5.637 -18.022 7.290
-1.011 -2.712 1.106
```


First-principles (PBE) data for Ca4Be3AlSi9H2O28 after structural relaxation, as listed in the Materials Project.

## Properties
* energy of formation from the pure elements: -305 kJ per mole of atoms
* volume: 12.34 Å³ per atom
* symmetry: No. 12
* electronic total energy: -693.17 eV/cell

POSCAR file:
```
Ca4Be3AlSi9H2O28
1.0
3.597 2.295 2.656
9.991 -4.654 -4.756
0.645 14.644 -13.095
Be Si O Al H Ca
6 18 56 2 4 8
Cartesian
11.085 2.331 -4.334
9.081 8.174 -12.603
3.149 9.954 -10.861
2.577 3.069 0.544
5.152 4.111 -2.592
1.665 13.870 -10.984
6.102 -0.374 -4.406
1.289 11.554 -9.281
8.009 9.553 -8.008
3.285 0.095 0.224
6.225 2.732 -7.188
7.229 -2.698 -2.705
7.531 10.663 -13.007
6.836 4.720 -4.978
7.524 4.643 -9.232
2.859 7.427 -3.233
6.710 7.641 -5.964
1.383 9.511 -7.206
2.953 5.384 -1.158
6.360 0.338 0.604
8.131 12.658 -10.789
10.304 -2.455 -2.325
7.397 7.564 -10.218
6.703 1.622 -2.189
6.210 -1.628 -3.356
8.209 9.274 -13.463
3.938 3.390 -3.435
9.046 -0.430 -7.419
5.936 10.533 -12.609
5.267 8.106 -6.589
11.137 10.617 -15.172
8.297 1.751 -2.586
3.032 -0.495 -1.328
11.476 3.643 -8.058
7.850 8.383 -6.865
11.202 12.779 -13.867
0.397 5.751 -4.949
2.284 5.951 -2.598
8.967 4.178 -8.606
8.404 4.243 -4.798
8.130 7.250 -11.624
6.067 3.477 -5.726
3.281 5.783 -7.047
5.188 12.714 -7.776
5.829 8.041 -10.398
4.561 5.167 -1.425
7.413 6.271 -9.204
9.946 1.556 -5.234
2.185 3.967 -0.841
10.860 5.324 -10.491
8.024 13.912 -11.840
7.441 1.667 -7.228
4.287 10.728 -9.962
6.600 0.517 -0.982
8.768 -2.135 -2.924
1.958 10.988 -7.841
5.466 14.419 -12.272
4.114 15.182 -8.937
7.633 11.768 -14.213
9.673 7.117 -13.770
5.945 0.996 -3.503
6.821 6.013 -5.991
6.025 3.010 -1.733
6.104 5.035 -3.572
6.861 12.650 -9.799
3.374 6.960 -4.704
2.757 8.641 -7.138
6.793 10.618 -7.967
11.205 -1.653 -3.381
7.372 -0.365 -5.397
2.057 12.971 -9.598
10.952 6.501 -8.148
8.289 11.289 -11.693
3.096 1.668 -0.023
10.296 8.894 -11.760
8.167 8.807 -9.470
0.128 1.757 -1.502
3.845 11.187 -5.490
6.384 3.901 -8.330
3.029 13.938 -11.814
10.554 4.919 -8.818
3.680 7.365 -6.377
9.095 1.900 -4.903
9.841 9.475 -11.122
4.393 2.809 -4.074
5.138 10.384 -10.293
2.471 4.679 -4.920
9.693 -0.837 -5.083
11.763 7.605 -10.276
4.541 13.121 -10.112
11.845 10.370 -12.873
9.724 1.964 -7.642
2.389 1.914 -2.323
4.510 10.320 -7.553
```


First-principles (PBE) data for SmB4Ir4 after structural relaxation, as listed in the Materials Project.

## Properties
* energy of formation from the pure elements: -55 kJ per mole of atoms
* volume: 13.08 Å³ per atom
* symmetry: No. 86
* electronic total energy: -143.81 eV/cell

POSCAR file:
```
SmB4Ir4
1.0
7.686 0.000 0.000
0.000 7.686 0.000
0.000 0.000 3.987
B Ir Sm
8 8 2
Cartesian
1.699 5.058 3.546
5.986 2.628 3.546
5.542 1.215 2.434
1.215 2.143 1.553
5.058 5.986 0.440
2.143 6.470 2.434
2.628 1.699 0.440
6.470 5.542 1.553
6.846 2.615 1.552
0.839 5.071 1.552
3.004 6.457 0.442
4.682 1.228 0.442
5.071 6.846 2.435
1.228 3.004 3.545
6.457 4.682 3.545
2.615 0.839 2.435
3.843 3.843 1.993
0.000 0.000 0.000
```


First-principles (PBE) data for NaAlF4 after structural relaxation, as listed in the Materials Project.

## Properties
* energy of formation from the pure elements: -339 kJ per mole of atoms
* volume: 13.45 Å³ per atom
* symmetry: No. 123
* electronic total energy: -31.93 eV/cell

POSCAR file:
```
NaAlF4
1.0
3.618 0.000 0.000
0.000 3.618 0.000
0.000 0.000 6.164
F Al Na
4 1 1
Cartesian
1.809 1.809 4.884
1.809 1.809 1.280
0.000 1.809 3.082
1.809 0.000 3.082
1.809 1.809 3.082
0.000 0.000 0.000
```


First-principles (PBE) data for NaNdTiNbO6F after structural relaxation, as listed in the Materials Project.

## Properties
* energy above the lowest structure with this stoichiometry: 0.00 eV/f.u.
* energy of formation from the pure elements: -325 kJ per mole of atoms
* volume: 12.96 Å³ per atom
* symmetry: No. 91
* electronic total energy: -352.71 eV/cell

POSCAR file:
```
NaNdTiNbO6F
1.0
7.378 0.000 0.000
0.000 7.378 0.000
0.000 0.000 10.475
O Nd Na Nb F Ti
24 4 4 4 4 4
Cartesian
4.108 0.383 1.386
1.674 5.545 8.608
5.545 1.674 9.724
6.995 3.271 1.233
4.148 4.148 3.928
3.271 0.383 9.090
1.834 1.674 0.752
3.231 3.231 9.166
0.307 7.071 6.547
5.705 5.545 1.867
1.674 1.834 7.105
3.271 6.995 6.624
7.071 0.307 1.309
5.705 1.834 3.370
0.383 4.108 6.471
1.834 5.705 4.486
7.071 7.071 3.928
4.148 3.231 1.309
4.108 6.995 3.852
3.231 4.148 6.547
5.545 5.705 5.989
0.383 3.271 9.242
6.995 4.108 4.005
0.307 0.307 9.166
0.000 2.022 5.238
5.357 0.000 7.857
0.000 5.357 0.000
2.022 0.000 2.619
3.689 1.995 5.238
1.995 3.689 2.619
3.689 5.383 0.000
5.383 3.689 7.857
3.689 1.789 0.000
5.589 3.689 2.619
1.789 3.689 7.857
3.689 5.589 5.238
5.470 1.909 6.547
1.909 1.909 3.928
1.909 5.470 1.309
5.470 5.470 9.166
0.000 1.736 0.000
5.642 0.000 2.619
1.736 0.000 7.857
0.000 5.642 5.238
```


First-principles (PBE) data for Eu2MgSe4 after structural relaxation, as listed in the Materials Project.

## Properties
* energy above the lowest structure with this stoichiometry: 0.42 eV/f.u.
* energy of formation from the pure elements: -156 kJ per mole of atoms
* volume: 28.67 Å³ per atom
* symmetry: No. 62
* electronic total energy: -182.17 eV/cell

POSCAR file:
```
Eu2MgSe4
1.0
-10.885 6.885 -5.730
-0.975 -3.361 -2.187
-8.140 -4.323 10.270
Se Eu Mg
16 8 4
Cartesian
-9.110 -0.884 -0.422
-16.647 1.663 -0.978
-12.326 3.741 -6.096
-6.698 2.094 -2.181
-3.741 -0.681 -3.126
-13.302 -2.894 4.534
-9.735 -3.953 4.572
-3.353 -2.462 3.331
-4.862 -0.310 0.696
-16.259 -0.118 5.479
-10.265 3.154 -2.219
-7.674 -4.540 8.449
-10.890 0.085 2.775
-15.138 -0.489 1.657
-6.856 -1.458 3.348
-13.144 0.658 -0.995
-13.530 0.039 4.022
-6.470 -0.838 -1.669
-12.635 2.220 -3.622
-2.166 -0.303 -0.515
-10.512 1.598 0.282
-7.365 -3.019 5.975
-9.488 -2.397 2.071
-17.833 -0.496 2.868
-12.382 -2.280 7.074
-5.636 -3.800 2.511
-14.364 3.001 -0.158
-7.617 1.481 -4.721
```


First-principles (PBE) data for LuTe after structural relaxation, as listed in the Materials Project.

## Properties
* energy of formation from the pure elements: -129 kJ per mole of atoms
* volume: 28.00 Å³ per atom
* symmetry: No. 187
* electronic total energy: -9.92 eV/cell

POSCAR file:
```
LuTe
1.0
2.016 -3.491 0.000
2.016 3.491 0.000
0.000 0.000 3.979
Te Lu
1 1
Cartesian
0.000 0.000 0.000
2.016 1.164 1.989
```


What did the fifth record say?
First-principles (PBE) data for Ca4Be3AlSi9H2O28 after structural relaxation, as listed in the Materials Project.

## Properties
* energy of formation from the pure elements: -305 kJ per mole of atoms
* volume: 12.34 Å³ per atom
* symmetry: No. 12
* electronic total energy: -693.17 eV/cell

POSCAR file:
```
Ca4Be3AlSi9H2O28
1.0
3.597 2.295 2.656
9.991 -4.654 -4.756
0.645 14.644 -13.095
Be Si O Al H Ca
6 18 56 2 4 8
Cartesian
11.085 2.331 -4.334
9.081 8.174 -12.603
3.149 9.954 -10.861
2.577 3.069 0.544
5.152 4.111 -2.592
1.665 13.870 -10.984
6.102 -0.374 -4.406
1.289 11.554 -9.281
8.009 9.553 -8.008
3.285 0.095 0.224
6.225 2.732 -7.188
7.229 -2.698 -2.705
7.531 10.663 -13.007
6.836 4.720 -4.978
7.524 4.643 -9.232
2.859 7.427 -3.233
6.710 7.641 -5.964
1.383 9.511 -7.206
2.953 5.384 -1.158
6.360 0.338 0.604
8.131 12.658 -10.789
10.304 -2.455 -2.325
7.397 7.564 -10.218
6.703 1.622 -2.189
6.210 -1.628 -3.356
8.209 9.274 -13.463
3.938 3.390 -3.435
9.046 -0.430 -7.419
5.936 10.533 -12.609
5.267 8.106 -6.589
11.137 10.617 -15.172
8.297 1.751 -2.586
3.032 -0.495 -1.328
11.476 3.643 -8.058
7.850 8.383 -6.865
11.202 12.779 -13.867
0.397 5.751 -4.949
2.284 5.951 -2.598
8.967 4.178 -8.606
8.404 4.243 -4.798
8.130 7.250 -11.624
6.067 3.477 -5.726
3.281 5.783 -7.047
5.188 12.714 -7.776
5.829 8.041 -10.398
4.561 5.167 -1.425
7.413 6.271 -9.204
9.946 1.556 -5.234
2.185 3.967 -0.841
10.860 5.324 -10.491
8.024 13.912 -11.840
7.441 1.667 -7.228
4.287 10.728 -9.962
6.600 0.517 -0.982
8.768 -2.135 -2.924
1.958 10.988 -7.841
5.466 14.419 -12.272
4.114 15.182 -8.937
7.633 11.768 -14.213
9.673 7.117 -13.770
5.945 0.996 -3.503
6.821 6.013 -5.991
6.025 3.010 -1.733
6.104 5.035 -3.572
6.861 12.650 -9.799
3.374 6.960 -4.704
2.757 8.641 -7.138
6.793 10.618 -7.967
11.205 -1.653 -3.381
7.372 -0.365 -5.397
2.057 12.971 -9.598
10.952 6.501 -8.148
8.289 11.289 -11.693
3.096 1.668 -0.023
10.296 8.894 -11.760
8.167 8.807 -9.470
0.128 1.757 -1.502
3.845 11.187 -5.490
6.384 3.901 -8.330
3.029 13.938 -11.814
10.554 4.919 -8.818
3.680 7.365 -6.377
9.095 1.900 -4.903
9.841 9.475 -11.122
4.393 2.809 -4.074
5.138 10.384 -10.293
2.471 4.679 -4.920
9.693 -0.837 -5.083
11.763 7.605 -10.276
4.541 13.121 -10.112
11.845 10.370 -12.873
9.724 1.964 -7.642
2.389 1.914 -2.323
4.510 10.320 -7.553
```


Question: The highest volume belongs to which entry?
Answer: Eu2MgSe4


Copy entry 7 word for word.
First-principles (PBE) data for NaAlF4 after structural relaxation, as listed in the Materials Project.

## Properties
* energy of formation from the pure elements: -339 kJ per mole of atoms
* volume: 13.45 Å³ per atom
* symmetry: No. 123
* electronic total energy: -31.93 eV/cell

POSCAR file:
```
NaAlF4
1.0
3.618 0.000 0.000
0.000 3.618 0.000
0.000 0.000 6.164
F Al Na
4 1 1
Cartesian
1.809 1.809 4.884
1.809 1.809 1.280
0.000 1.809 3.082
1.809 0.000 3.082
1.809 1.809 3.082
0.000 0.000 0.000
```


Question: What is the electronic total energy in the sixth record?
Answer: -143.81 eV/cell